Na2BeSi2O6 | PBE | optimized geometry

Computed properties:
**Excess energy over the best structure of this formula in the dataset**: 0.0 meV per atom
**Energy relative to the elements**: -2.9648 eV per atom
**M_tot**: 0.0 μB/f.u.
**Space group**: Fdd2

Structure (extended XYZ):
```
66
Lattice="0.000 10.664 10.687 3.471 0.000 10.687 3.471 10.664 0.000" Properties=species:S:1:pos:R:3 pbc="T T T"
Na 0.000 0.000 0.000
Na 3.396 3.370 7.409
Na 5.282 8.702 12.752
Na 1.735 5.332 5.343
Na 3.508 6.965 10.277
Na 3.471 10.664 7.927
Na 5.170 12.297 15.620
Na 5.206 15.997 13.271
Na 3.434 14.364 10.277
Na 0.075 7.295 7.409
Na 5.243 19.697 15.620
Na 1.660 12.627 12.752
Be 5.319 8.919 9.307
Be 3.471 10.664 3.130
Be 1.735 5.332 8.473
Be 3.584 7.078 14.651
Be 1.623 12.410 9.307
Be 3.358 14.251 14.651
Si 1.688 1.423 5.329
Si 1.735 5.332 2.163
Si 3.557 7.459 7.187
Si 3.423 3.909 10.672
Si 1.783 9.242 5.329
Si 5.121 12.791 12.530
Si 3.385 13.870 7.187
Si 3.471 10.664 10.920
Si 1.821 8.538 12.530
Si 5.206 15.997 16.263
Si 3.519 17.420 10.672
Si 3.471 10.664 18.193
O 2.157 0.300 6.497
O 5.789 7.820 10.469
O 2.092 4.011 3.021
O 1.248 0.580 4.024
O 4.060 8.302 8.463
O 3.161 8.549 5.976
O 3.893 5.032 11.840
O 2.984 4.753 9.368
O 6.384 11.830 12.796
O 1.379 6.654 3.021
O 4.777 10.278 10.060
O 2.294 6.497 7.453
O 3.781 12.780 5.976
O 2.223 10.085 4.024
O 1.177 4.167 7.453
O 5.517 13.881 11.320
O 4.054 8.176 15.812
O 3.137 9.362 11.915
O 6.513 16.383 15.403
O 3.805 11.967 11.915
O 2.882 13.027 8.463
O 1.314 10.364 6.497
O 4.617 13.634 13.806
O 3.958 16.576 9.368
O 2.325 7.694 13.806
O 1.425 7.448 11.320
O 2.165 11.051 10.060
O 5.541 14.694 17.258
O 3.049 16.297 11.840
O 6.586 20.007 19.051
O 3.900 15.611 15.403
O 3.827 11.986 19.051
O 4.872 17.299 17.258
O 2.888 13.153 15.812
O 1.152 13.509 10.469
O 4.029 20.164 12.796
```